Density functional theory data (GGA-PBE) for an optimized crystal structure of KNa4GeAs3. Values from VASP.

Summary:
- SG: Pnma
- Total energy: -3.184 eV/atom

```
&SYSTEM
  ibrav = 0, nat = 36, ntyp = 4
/
ATOMIC_SPECIES
K 39.10 K.upf
Na 22.99 Na.upf
Ge 72.64 Ge.upf
As 74.92 As.upf
ATOMIC_POSITIONS angstrom
K 1.2059 1.7032 7.8988
K 3.6177 11.5395 7.3951
K 3.6177 8.3245 15.0421
K 1.2059 4.9181 0.2518
Na 1.2059 5.6680 8.5994
Na 3.6177 7.5747 6.6945
Na 3.6177 12.2893 14.3415
Na 1.2059 0.9534 0.9524
Na 1.2059 10.7231 1.2344
Na 3.6177 2.5196 14.0595
Na 3.6177 4.1017 6.4125
Na 1.2059 9.1409 8.8814
Na 1.2059 3.1421 3.9137
Na 3.6177 10.1006 11.3802
Na 3.6177 9.7634 3.7333
Na 1.2059 3.4793 11.5607
Na 1.2059 12.4564 4.3930
Na 3.6177 0.7862 10.9009
Na 3.6177 5.8351 3.2539
Na 1.2059 7.4076 12.0400
Ge 1.2059 7.7383 4.4964
Ge 3.6177 5.5044 10.7975
Ge 3.6177 1.1170 3.1505
Ge 1.2059 12.1257 12.1434
As 1.2059 7.8314 2.1359
As 3.6177 5.4113 13.1580
As 3.6177 1.2101 5.5111
As 1.2059 12.0326 9.7828
As 1.2059 5.6172 5.5946
As 3.6177 7.6255 9.6993
As 3.6177 12.2385 2.0523
As 1.2059 1.0042 13.2416
As 1.2059 9.6957 5.8537
As 3.6177 3.5470 9.4402
As 3.6177 3.0743 1.7932
As 1.2059 10.1683 13.5007
CELL_PARAMETERS angstrom
4.8236 0.0000 0.0000
0.0000 13.2427 0.0000
0.0000 0.0000 15.2939
```

=====

Density functional theory data (GGA-PBE) for an optimized crystal structure of AsP. Values from VASP.

Summary:
- SG: C2/m
- E above lowest polymorph: 0.000 eV/atom

```
&SYSTEM
  ibrav = 0, nat = 4, ntyp = 2
/
ATOMIC_SPECIES
As 74.92 As.upf
P 30.97 P.upf
ATOMIC_POSITIONS angstrom
As -1.1932 2.3102 -1.1576
As -1.5964 5.9832 -0.4775
P -3.7650 5.1866 0.0886
P 0.9753 3.1068 -1.7237
CELL_PARAMETERS angstrom
1.4193 2.2593 -2.2857
-4.1842 0.6985 -1.9078
-0.0247 5.3355 2.5584
```

=====

Density functional theory data (GGA-PBE) for an optimized crystal structure of Cd2Hg2S2O11. Values from VASP.

Summary:
- SG: P2/c
- Total energy: -4.731 eV/atom

```
&SYSTEM
  ibrav = 0, nat = 34, ntyp = 4
/
ATOMIC_SPECIES
Cd 112.41 Cd.upf
Hg 200.59 Hg.upf
S 32.06 S.upf
O 16.00 O.upf
ATOMIC_POSITIONS angstrom
Cd -5.2130 -3.0961 -3.3067
Cd -2.4984 -3.2252 -5.6950
Cd -6.3603 -3.0961 0.4682
Cd -1.3512 -3.2252 -9.4698
Hg -1.9279 -1.7818 -2.2504
Hg -5.7836 -4.5395 -6.7512
Hg -3.8557 0.0000 -4.5008
Hg 0.0000 0.0000 0.0000
S -3.6848 -4.9375 -0.7544
S -4.0267 -1.3839 -8.2473
S -0.1709 -4.9375 -3.7465
S -7.5406 -1.3839 -5.2552
O -3.2514 -1.8912 -3.9039
O -4.4601 -4.4302 -5.0977
O -0.6043 -1.8912 -0.5969
O -7.1072 -4.4302 -8.4048
O -5.7867 -1.8131 -1.4193
O -1.9248 -4.5083 -7.5824
O -2.3967 -4.8526 -0.0030
O -5.3148 -1.4687 -8.9986
O -1.4591 -4.8526 -4.4978
O -6.2524 -1.4687 -4.5038
O -3.6726 -3.8265 -1.7781
O -4.0388 -2.4948 -7.2235
O -0.1831 -3.8265 -2.7227
O -7.5284 -2.4948 -6.2790
O -4.8329 -4.7526 0.1675
O -2.8786 -1.5688 -9.1692
O -6.7404 -4.7526 -3.0060
O -0.9711 -1.5688 -5.9956
O -3.7661 -6.2527 -1.4299
O -3.9454 -0.0687 -7.5718
O -0.0896 -6.2527 -3.0709
O -7.6219 -0.0687 -5.9307
CELL_PARAMETERS angstrom
0.0000 -6.3214 0.0000
-7.7176 0.0000 1.6623
0.0061 0.0000 -10.6640
```

=====

Density functional theory data (GGA-PBE) for an optimized crystal structure of NpGa2. Values from VASP.

Summary:
- SG: P6/mmm
- Total energy: -6.274 eV/atom

```
&SYSTEM
  ibrav = 0, nat = 3, ntyp = 2
/
ATOMIC_SPECIES
Np 237.00 Np.upf
Ga 69.72 Ga.upf
ATOMIC_POSITIONS angstrom
Np 0.0000 0.0000 0.0000
Ga -1.4652 -2.4893 -1.1355
Ga -1.8966 -1.9436 1.5027
CELL_PARAMETERS angstrom
-2.8352 -0.0558 3.7804
-1.5409 -1.6928 -4.1343
1.0143 -2.6843 0.7211
```

=====

Density functional theory data (GGA-PBE) for an optimized crystal structure of AlGaCo2. Values from VASP.

Summary:
- SG: Fm-3m
- Total energy: -5.693 eV/atom

```
&SYSTEM
  ibrav = 0, nat = 4, ntyp = 3
/
ATOMIC_SPECIES
Al 26.98 Al.upf
Ga 69.72 Ga.upf
Co 58.93 Co.upf
ATOMIC_POSITIONS angstrom
Al -3.8256 -0.9962 -3.0120
Ga 0.0000 0.0000 0.0000
Co -5.7384 -1.4942 -4.5180
Co -1.9128 -0.4981 -1.5060
CELL_PARAMETERS angstrom
-1.9486 -2.9283 -2.0236
-4.0370 0.1417 -0.3864
-1.6657 0.7943 -3.6140
```

=====

Density functional theory data (GGA-PBE) for an optimized crystal structure of InAgP2S6. Values from VASP.

Summary:
- SG: P-31c
- Total energy: -4.436 eV/atom

```
&SYSTEM
  ibrav = 0, nat = 20, ntyp = 4
/
ATOMIC_SPECIES
In 114.82 In.upf
Ag 107.87 Ag.upf
P 30.97 P.upf
S 32.06 S.upf
ATOMIC_POSITIONS angstrom
In 0.0000 0.0000 3.5925
In 0.0000 0.0000 10.7775
Ag 3.1296 -1.8069 3.5925
Ag 3.1296 1.8069 10.7775
P 3.1296 -1.8069 9.6467
P 3.1296 -1.8069 11.9082
P 3.1296 1.8069 4.7232
P 3.1296 1.8069 2.4617
S 4.0332 -3.5458 12.4819
S 2.0754 -0.1549 9.0730
S 5.0874 -1.7199 9.0730
S 2.2260 -3.5458 9.0730
S 2.0754 0.1549 1.8880
S 5.0874 1.7199 1.8880
S 2.2260 3.5458 1.8880
S 4.1838 0.1549 5.2969
S 1.1718 1.7199 5.2969
S 4.0332 3.5458 5.2969
S 4.1838 -0.1549 12.4819
S 1.1718 -1.7199 12.4819
CELL_PARAMETERS angstrom
3.1296 -5.4206 0.0000
3.1296 5.4206 0.0000
0.0000 0.0000 14.3700
```

=====

Question: What is the formula in the fourth record?
Answer: NpGa2

=====

Question: What is the formula in the second record?
Answer: AsP